(1)
! PBE Mg14AlB, optimized geometry; values from VASP
! energy above the most stable polymorph in this dataset = 15 meV/atom
! size of the total moment = 0.00 μB per cell
&SYSTEM
  ibrav = 0, nat = 16, ntyp = 3
/
ATOMIC_SPECIES
Mg 24.30 Mg.upf
Al 26.98 Al.upf
B 10.81 B.upf
CELL_PARAMETERS angstrom
10.114 0.000 0.000
0.000 3.106 5.346
0.000 -3.106 5.346
ATOMIC_POSITIONS angstrom
Mg 0.000 0.000 0.000
Mg 0.000 -1.546 2.702
Mg 0.000 0.000 5.343
Mg 0.000 1.546 2.702
Mg 2.519 0.000 7.137
Mg 2.616 0.000 1.761
Mg 2.696 -1.585 4.519
Mg 2.696 1.585 4.519
Mg 5.057 -1.537 7.994
Mg 5.057 1.537 7.994
Mg 7.418 -1.585 4.519
Mg 7.418 1.585 4.519
Mg 7.498 0.000 1.761
Mg 7.595 0.000 7.137
Al 5.057 0.000 5.404
B 5.057 0.000 0.032



(2)
! PBE Au, optimized geometry; values from VASP
! energy above the most stable polymorph in this dataset = 0 meV/atom
&SYSTEM
  ibrav = 0, nat = 4, ntyp = 1
/
ATOMIC_SPECIES
Au 196.97 Au.upf
CELL_PARAMETERS angstrom
4.171 0.000 0.000
0.000 4.171 0.000
0.000 0.000 4.171
ATOMIC_POSITIONS angstrom
Au 0.000 0.000 0.000
Au 0.000 2.086 2.086
Au 2.086 0.000 2.086
Au 2.086 2.086 0.000



(3)
! PBE Mg3Si3Sn2O12, optimized geometry; values from VASP
! DFT total energy = -6.656 eV/atom
! size of the total moment = 0.01 μB per cell
&SYSTEM
  ibrav = 0, nat = 80, ntyp = 4
/
ATOMIC_SPECIES
Mg 24.30 Mg.upf
Si 28.09 Si.upf
Sn 118.71 Sn.upf
O 16.00 O.upf
CELL_PARAMETERS angstrom
-6.117 6.117 6.117
6.117 -6.117 6.117
6.117 6.117 -6.117
ATOMIC_POSITIONS angstrom
Mg 3.058 1.529 0.000
Mg 6.117 3.058 -1.529
Mg 1.529 0.000 3.058
Mg 7.646 0.000 3.058
Mg 0.000 3.058 1.529
Mg 3.058 -1.529 6.117
Mg 3.058 7.646 0.000
Mg 6.117 3.058 4.587
Mg -1.529 6.117 3.058
Mg 4.587 6.117 3.058
Mg 0.000 3.058 7.646
Mg 3.058 4.587 6.117
Si 9.175 1.529 0.000
Si 6.117 -3.058 4.587
Si 4.587 6.117 -3.058
Si 4.587 0.000 3.058
Si 3.058 4.587 0.000
Si 6.117 3.058 1.529
Si 0.000 3.058 4.587
Si 3.058 1.529 6.117
Si 1.529 6.117 3.058
Si 1.529 0.000 9.175
Si 0.000 9.175 1.529
Si -3.058 4.587 6.117
Sn 0.000 0.000 0.000
Sn 3.058 3.058 -3.058
Sn 3.058 -3.058 3.058
Sn 6.117 0.000 0.000
Sn -3.058 3.058 3.058
Sn 0.000 6.117 0.000
Sn 0.000 0.000 6.117
Sn 3.058 3.058 3.058
O 2.032 -0.440 0.746
O 7.143 3.804 -3.498
O 8.149 0.440 0.746
O 7.143 -2.312 3.498
O 5.677 -0.746 2.032
O 9.615 -1.026 2.312
O 0.746 2.032 -0.440
O 8.429 2.618 -1.026
O 3.804 3.498 -1.026
O 5.371 2.032 0.440
O -0.440 0.746 2.032
O 3.498 -1.026 3.804
O 5.677 5.371 -2.032
O 3.498 1.026 2.312
O 3.804 -3.498 7.143
O 5.371 -2.032 5.677
O 2.312 3.498 1.026
O 6.863 4.085 0.440
O 3.498 7.143 -2.312
O 5.677 0.746 4.085
O 2.032 5.677 -0.746
O 7.143 2.312 2.618
O 1.026 2.312 3.498
O 2.032 0.440 5.371
O 4.085 5.677 0.746
O 5.090 3.804 2.618
O -1.026 3.804 3.498
O 4.085 0.440 6.863
O 0.440 5.371 2.032
O 2.618 -1.026 8.429
O -0.746 2.032 5.677
O 3.804 2.618 5.090
O 0.746 8.149 0.440
O 2.312 9.615 -1.026
O 2.618 5.090 3.804
O 0.440 0.746 8.149
O 2.618 7.143 2.312
O 6.557 5.371 4.085
O 0.746 4.085 5.677
O 2.312 2.618 7.143
O -2.312 3.498 7.143
O 5.371 4.085 6.557
O -3.498 7.143 3.804
O 0.440 6.863 4.085
O -1.026 8.429 2.618
O -2.032 5.677 5.371
O -1.026 2.312 9.615
O 4.085 6.557 5.371



(4)
! PBE KRb2TlI6, optimized geometry; values from VASP
! DFT total energy = -2.385 eV/atom
! size of the total moment = 0.00 μB per cell
&SYSTEM
  ibrav = 0, nat = 10, ntyp = 4
/
ATOMIC_SPECIES
K 39.10 K.upf
Rb 85.47 Rb.upf
Tl 204.38 Tl.upf
I 126.90 I.upf
CELL_PARAMETERS angstrom
0.000 6.378 6.378
6.378 0.000 6.378
6.378 6.378 0.000
ATOMIC_POSITIONS angstrom
K 0.000 0.000 0.000
Rb 3.189 3.189 3.189
Rb 9.567 9.567 9.567
Tl 6.378 6.378 6.378
I 6.378 6.378 3.365
I 6.378 3.365 6.378
I 9.391 6.378 6.378
I 3.365 6.378 6.378
I 6.378 9.391 6.378
I 6.378 6.378 9.391



(5)
! PBE Cu27CO, optimized geometry; values from VASP
! DFT total energy = -4.058 eV/atom
! size of the total moment = 0.11 μB per cell
&SYSTEM
  ibrav = 0, nat = 29, ntyp = 3
/
ATOMIC_SPECIES
Cu 63.55 Cu.upf
C 12.01 C.upf
O 16.00 O.upf
CELL_PARAMETERS angstrom
7.542 0.000 0.000
-3.771 6.532 0.000
0.000 0.000 14.040
ATOMIC_POSITIONS angstrom
Cu 0.000 0.000 0.000
Cu 6.284 2.176 0.000
Cu 5.027 4.354 0.000
Cu 0.000 1.451 2.077
Cu -1.256 3.629 2.077
Cu -2.515 5.807 2.077
Cu 1.258 0.726 4.153
Cu 0.000 2.902 4.153
Cu -1.258 5.081 4.153
Cu 2.514 0.002 0.000
Cu 1.259 2.176 0.000
Cu 0.000 4.355 0.000
Cu 2.513 1.451 2.077
Cu 1.256 3.629 2.077
Cu 0.000 5.805 2.077
Cu 3.771 0.725 4.153
Cu 2.513 2.904 4.153
Cu 1.258 5.081 4.153
Cu 5.028 0.002 0.000
Cu 3.771 2.177 0.000
Cu 2.516 4.354 0.000
Cu 5.030 1.451 2.077
Cu 3.771 3.631 2.077
Cu 2.515 5.807 2.077
Cu 6.285 0.726 4.153
Cu 5.029 2.904 4.153
Cu 3.771 5.080 4.153
C 3.771 2.177 5.600
O 3.771 2.177 6.785



(6)
! PBE SrRu2O6, optimized geometry; values from VASP
! energy above the most stable polymorph in this dataset = 0 meV/atom
&SYSTEM
  ibrav = 0, nat = 18, ntyp = 3
/
ATOMIC_SPECIES
Sr 87.62 Sr.upf
Ru 101.07 Ru.upf
O 16.00 O.upf
CELL_PARAMETERS angstrom
-2.654 -4.597 0.000
-2.654 4.597 0.000
0.000 0.000 -10.522
ATOMIC_POSITIONS angstrom
Sr 0.000 0.000 0.000
Sr 0.000 0.000 -5.261
Ru -2.654 -1.532 -7.891
Ru -2.654 1.532 -2.630
Ru -2.654 -1.532 -2.630
Ru -2.654 1.532 -7.891
O -3.291 0.001 -3.684
O -3.291 0.000 -8.945
O -1.009 1.747 -3.684
O -1.009 1.747 -8.945
O -3.663 2.849 -3.684
O -3.663 2.850 -8.945
O -4.299 1.747 -1.577
O -4.299 1.747 -6.837
O -2.018 0.001 -1.577
O -2.018 0.000 -6.837
O -1.646 2.849 -1.577
O -1.645 2.850 -6.837



(7)
! PBE CsPH2O4, optimized geometry; values from VASP
! DFT total energy = -5.952 eV/atom
! size of the total moment = 0.00 μB per cell
&SYSTEM
  ibrav = 0, nat = 16, ntyp = 4
/
ATOMIC_SPECIES
Cs 132.91 Cs.upf
P 30.97 P.upf
H 1.01 H.upf
O 16.00 O.upf
CELL_PARAMETERS angstrom
4.949 0.000 0.000
0.000 6.589 0.000
-2.460 0.000 7.653
ATOMIC_POSITIONS angstrom
Cs -0.409 1.647 2.053
Cs 2.898 4.942 5.600
P 0.424 1.647 5.894
P 2.065 4.942 1.759
H 0.004 4.942 2.640
H 2.474 0.000 0.000
H 2.474 3.295 0.000
H 2.485 1.647 5.013
O -0.936 1.647 5.220
O 0.981 4.942 2.930
O 1.786 3.660 0.917
O 1.786 6.224 0.917
O 0.703 0.366 6.736
O 0.703 2.929 6.736
O 1.508 1.647 4.723
O 3.425 4.942 2.433



(8)
! PBE GdZrSb, optimized geometry; values from VASP
! DFT total energy = -9.735 eV/atom
! size of the total moment = 30.98 μB per cell
&SYSTEM
  ibrav = 0, nat = 12, ntyp = 3
/
ATOMIC_SPECIES
Gd 157.25 Gd.upf
Zr 91.22 Zr.upf
Sb 121.76 Sb.upf
CELL_PARAMETERS angstrom
4.315 0.000 0.000
0.000 4.315 0.000
0.000 0.000 16.801
ATOMIC_POSITIONS angstrom
Gd 0.000 0.000 2.955
Gd 0.000 0.000 13.846
Gd 2.157 2.157 5.446
Gd 2.157 2.157 11.355
Zr 0.000 2.157 0.000
Zr 0.000 2.157 8.400
Zr 2.157 0.000 0.000
Zr 2.157 0.000 8.400
Sb 0.000 0.000 6.204
Sb 0.000 0.000 10.597
Sb 2.157 2.157 2.197
Sb 2.157 2.157 14.604